# meta-GGA r2SCAN CsHo3Te5, relaxed
data_CsHo3Te5
_cell_length_a 23.739
_cell_length_b 4.398
_cell_length_c 13.141
_cell_angle_alpha 90.00
_cell_angle_beta 90.00
_cell_angle_gamma 90.00
_space_group_name_H-M_alt 'P n m a'
_space_group_IT_number 62
loop_
_space_group_symop_operation_xyz
'x,y,z'
'-x,-y,-z'
'-x+1/2,-y,z+1/2'
'x+1/2,y,-z+1/2'
'x+1/2,-y+1/2,-z+1/2'
'-x+1/2,y+1/2,z+1/2'
'-x,y+1/2,-z'
'x,-y+1/2,z'
loop_
_atom_site_label
_atom_site_type_symbol
_atom_site_fract_x
_atom_site_fract_y
_atom_site_fract_z
_atom_site_occupancy
Cs1 Cs 0.089 0.250 0.145 1
Ho1 Ho 0.056 0.750 0.608 1
Ho2 Ho 0.175 0.250 0.797 1
Ho3 Ho 0.198 0.250 0.454 1
Te1 Te 0.047 0.250 0.769 1
Te2 Te 0.069 0.250 0.444 1
Te3 Te 0.174 0.750 0.955 1
Te4 Te 0.186 0.750 0.625 1
Te5 Te 0.197 0.750 0.298 1
# * E: -265.90 eV per formula unit
# * total magnetic moment: 0.0 Bohr magnetons per cell